(1)
Y3Ga8Ni3, optimized geometry, DFT PBE; M_tot = 0.00 Bohr magnetons per cell; calculated formation energy = -564 meV/atom; E = -4.918 eV per atom
1.0
7.760 -2.080 0.000
7.760 2.080 0.000
-5.775 0.000 7.618
Y Ga Ni
3 8 3
Direct
0.000 0.000 0.000
0.298 0.298 0.290
0.621 0.621 0.620
0.149 0.149 0.410
0.154 0.154 0.887
0.307 0.307 0.803
0.465 0.465 0.735
0.467 0.467 0.199
0.804 0.804 0.586
0.806 0.806 0.023
0.963 0.963 0.563
0.647 0.647 0.014
0.652 0.652 0.278
0.965 0.965 0.320


(2)
Y2Ga3Ni, optimized geometry, DFT PBE; M_tot = 0.03 Bohr magnetons per cell; calculated formation energy = -634 meV/atom; E = -5.267 eV per atom
1.0
4.277 0.000 0.000
-2.139 3.704 0.000
0.000 0.000 7.545
Y Ga Ni
2 3 1
Direct
0.000 0.000 0.000
0.000 0.000 0.466
0.333 0.667 0.242
0.333 0.667 0.690
0.667 0.333 0.772
0.667 0.333 0.202


(3)
ZnGa3Ni3, optimized geometry, DFT PBE; M_tot = 0.00 Bohr magnetons per cell; calculated formation energy = -373 meV/atom; E = -4.328 eV per atom
1.0
-5.731 5.731 5.731
5.731 -5.731 5.731
5.731 5.731 -5.731
Zn Ga Ni
8 24 24
Direct
0.000 0.000 0.000
0.000 0.000 0.500
0.000 0.500 0.000
0.000 0.500 0.500
0.500 0.000 0.000
0.500 0.000 0.500
0.500 0.500 0.000
0.500 0.500 0.500
0.011 0.250 0.261
0.011 0.261 0.750
0.239 0.250 0.489
0.239 0.489 0.750
0.250 0.261 0.011
0.250 0.489 0.239
0.250 0.761 0.511
0.250 0.989 0.739
0.261 0.011 0.250
0.261 0.750 0.011
0.489 0.239 0.250
0.489 0.750 0.239
0.511 0.250 0.761
0.511 0.761 0.750
0.739 0.250 0.989
0.739 0.989 0.750
0.750 0.011 0.261
0.750 0.239 0.489
0.750 0.511 0.761
0.750 0.739 0.989
0.761 0.511 0.250
0.761 0.750 0.511
0.989 0.739 0.250
0.989 0.750 0.739
0.008 0.016 0.758
0.008 0.492 0.250
0.016 0.758 0.008
0.242 0.750 0.258
0.242 0.992 0.984
0.250 0.008 0.492
0.250 0.742 0.758
0.258 0.242 0.750
0.258 0.516 0.508
0.484 0.492 0.742
0.492 0.250 0.008
0.492 0.742 0.484
0.508 0.258 0.516
0.508 0.750 0.992
0.516 0.508 0.258
0.742 0.484 0.492
0.742 0.758 0.250
0.750 0.258 0.242
0.750 0.992 0.508
0.758 0.008 0.016
0.758 0.250 0.742
0.984 0.242 0.992
0.992 0.508 0.750
0.992 0.984 0.242


(4)
Zn36Ga5Ni8, optimized geometry, DFT PBE; M_tot = 0.01 Bohr magnetons per cell; calculated formation energy = -156 meV/atom; E = -2.334 eV per atom
1.0
8.871 0.000 0.000
0.000 8.871 0.000
0.000 0.000 8.871
Zn Ga Ni
36 5 8
Direct
0.000 0.000 0.312
0.000 0.000 0.688
0.000 0.312 0.000
0.000 0.688 0.000
0.055 0.294 0.294
0.055 0.706 0.706
0.138 0.500 0.500
0.180 0.180 0.539
0.180 0.461 0.820
0.180 0.539 0.180
0.180 0.820 0.461
0.294 0.055 0.294
0.294 0.294 0.055
0.294 0.706 0.945
0.294 0.945 0.706
0.312 0.000 0.000
0.461 0.180 0.820
0.461 0.820 0.180
0.500 0.138 0.500
0.500 0.500 0.138
0.500 0.500 0.862
0.500 0.862 0.500
0.539 0.180 0.180
0.539 0.820 0.820
0.688 0.000 0.000
0.706 0.055 0.706
0.706 0.294 0.945
0.706 0.706 0.055
0.706 0.945 0.294
0.820 0.180 0.461
0.820 0.461 0.180
0.820 0.539 0.820
0.820 0.820 0.539
0.862 0.500 0.500
0.945 0.294 0.706
0.945 0.706 0.294
0.000 0.000 0.000
0.385 0.385 0.615
0.385 0.615 0.385
0.615 0.385 0.385
0.615 0.615 0.615
0.175 0.175 0.825
0.175 0.825 0.175
0.335 0.335 0.335
0.335 0.665 0.665
0.665 0.335 0.665
0.665 0.665 0.335
0.825 0.175 0.175
0.825 0.825 0.825


(5)
ZrGa2Ni, optimized geometry, DFT PBE; calculated formation energy = -588 meV/atom; E = -5.684 eV per atom
1.0
-6.206 6.206 4.071
6.206 -6.206 4.071
6.206 6.206 -4.071
Zr Ga Ni
10 20 10
Direct
0.000 0.000 0.000
0.065 0.352 0.287
0.065 0.778 0.713
0.352 0.065 0.287
0.370 0.370 0.593
0.370 0.776 0.000
0.447 0.447 0.000
0.776 0.370 0.000
0.776 0.776 0.407
0.778 0.065 0.713
0.091 0.091 0.734
0.091 0.357 0.000
0.180 0.673 0.211
0.180 0.969 0.507
0.201 0.583 0.618
0.357 0.091 0.000
0.357 0.357 0.266
0.462 0.673 0.493
0.462 0.969 0.789
0.572 0.732 0.840
0.583 0.201 0.618
0.583 0.965 0.382
0.673 0.180 0.211
0.673 0.462 0.493
0.732 0.572 0.840
0.732 0.892 0.160
0.892 0.732 0.160
0.965 0.583 0.382
0.969 0.180 0.507
0.969 0.462 0.789
0.070 0.070 0.324
0.070 0.745 0.000
0.202 0.419 0.783
0.336 0.836 0.500
0.419 0.202 0.783
0.419 0.637 0.217
0.637 0.419 0.217
0.745 0.070 0.000
0.745 0.745 0.676
0.836 0.336 0.500


(6)
GaO, optimized geometry, DFT PBE; M_tot = 0.01 Bohr magnetons per cell; calculated formation energy = -1385 meV/atom; E = -5.029 eV per atom
1.0
3.343 0.000 0.000
-1.672 2.895 0.000
0.000 0.000 5.866
Ga O
2 2
Direct
0.333 0.667 0.000
0.667 0.333 0.500
0.333 0.667 0.366
0.667 0.333 0.866


(7)
GaO3, optimized geometry, DFT PBE; M_tot = 10.90 Bohr magnetons per cell; calculated formation energy = -805 meV/atom; E = -4.757 eV per atom
1.0
-3.517 3.517 3.517
3.517 -3.517 3.517
3.517 3.517 -3.517
Ga O
4 12
Direct
0.000 0.000 0.500
0.000 0.500 0.000
0.500 0.000 0.000
0.500 0.500 0.500
0.146 0.333 0.480
0.146 0.667 0.813
0.187 0.854 0.333
0.333 0.187 0.854
0.333 0.480 0.146
0.480 0.146 0.333
0.520 0.854 0.667
0.667 0.520 0.854
0.667 0.813 0.146
0.813 0.146 0.667
0.854 0.333 0.187
0.854 0.667 0.520


(8)
GaO5, optimized geometry, DFT PBE; M_tot = 8.79 Bohr magnetons per cell; calculated formation energy = 143 meV/atom; E = -4.485 eV per atom
1.0
4.759 0.000 0.000
-2.380 4.122 0.000
0.000 0.000 32.592
Ga O
8 40
Direct
0.000 0.000 0.000
0.000 0.000 0.205
0.000 0.000 0.500
0.000 0.000 0.705
0.333 0.667 0.095
0.333 0.667 0.342
0.333 0.667 0.595
0.333 0.667 0.842
0.000 0.000 0.055
0.000 0.000 0.351
0.000 0.000 0.555
0.000 0.000 0.851
0.002 0.282 0.369
0.002 0.720 0.869
0.280 0.282 0.869
0.280 0.998 0.369
0.333 0.667 0.041
0.333 0.667 0.287
0.333 0.667 0.541
0.333 0.667 0.787
0.369 0.076 0.468
0.369 0.293 0.968
0.384 0.005 0.213
0.384 0.380 0.713
0.409 0.030 0.630
0.409 0.379 0.130
0.620 0.005 0.713
0.620 0.616 0.213
0.621 0.030 0.130
0.621 0.591 0.630
0.667 0.333 0.113
0.667 0.333 0.229
0.667 0.333 0.301
0.667 0.333 0.486
0.667 0.333 0.613
0.667 0.333 0.729
0.667 0.333 0.801
0.667 0.333 0.986
0.707 0.076 0.968
0.707 0.631 0.468
0.718 0.720 0.369
0.718 0.998 0.869
0.924 0.293 0.468
0.924 0.631 0.968
0.970 0.379 0.630
0.970 0.591 0.130
0.995 0.380 0.213
0.995 0.616 0.713


(9)
GaP3O9, optimized geometry, DFT PBE; calculated formation energy = -2568 meV/atom; E = -7.000 eV per atom
1.0
6.609 -9.615 0.000
6.609 9.615 0.000
-5.665 0.000 7.594
Ga P O
6 18 54
Direct
0.080 0.920 0.500
0.228 0.738 0.970
0.414 0.591 0.503
0.591 0.414 0.003
0.738 0.228 0.470
0.920 0.080 0.000
0.155 0.553 0.155
0.214 0.488 0.658
0.246 0.283 0.773
0.265 0.993 0.312
0.283 0.246 0.273
0.323 0.932 0.806
0.488 0.214 0.158
0.553 0.155 0.655
0.566 0.935 0.753
0.581 0.875 0.214
0.615 0.671 0.337
0.671 0.615 0.837
0.835 0.897 0.180
0.875 0.581 0.714
0.897 0.835 0.680
0.932 0.323 0.306
0.935 0.566 0.253
0.993 0.265 0.812
0.020 0.664 0.879
0.027 0.922 0.678
0.030 0.408 0.970
0.060 0.604 0.210
0.074 0.365 0.468
0.134 0.171 0.118
0.138 0.918 0.326
0.151 0.300 0.857
0.171 0.134 0.618
0.173 0.550 0.786
0.230 0.804 0.806
0.234 0.522 0.284
0.245 0.665 0.130
0.258 0.918 0.143
0.259 0.935 0.640
0.270 0.392 0.704
0.300 0.151 0.357
0.321 0.594 0.642
0.343 0.389 0.429
0.365 0.074 0.968
0.389 0.343 0.929
0.392 0.270 0.204
0.408 0.030 0.470
0.438 0.825 0.068
0.472 0.792 0.582
0.478 0.955 0.850
0.509 0.582 0.369
0.522 0.234 0.784
0.550 0.173 0.286
0.555 0.756 0.269
0.582 0.509 0.869
0.594 0.321 0.142
0.595 0.653 0.716
0.604 0.060 0.710
0.653 0.595 0.216
0.664 0.020 0.379
0.665 0.245 0.630
0.675 0.861 0.125
0.707 0.971 0.888
0.756 0.555 0.769
0.758 0.803 0.523
0.792 0.472 0.082
0.803 0.758 0.023
0.804 0.230 0.306
0.825 0.438 0.568
0.861 0.675 0.625
0.901 0.902 0.350
0.902 0.901 0.850
0.918 0.138 0.826
0.918 0.258 0.643
0.922 0.027 0.178
0.935 0.259 0.140
0.955 0.478 0.350
0.971 0.707 0.388